No. 1
An optimized crystal structure of Ge7Ir3. Source: Materials Project, functional PBE.

Values from the calculation:
E_form: -0.27 eV per atom
Electronic total energy: -6.16 eV per atom
SG: Im-3m, No. 229

Unit cell a=7.6191 b=7.6191 c=7.6191 alpha=109.47 beta=109.47 gamma=109.47
With the nearest neighbours (Å) after each atom.
Fractional coordinates of all 20 atoms:
1 Ir 0.0000 0.3397 0.3397  8 Ge 2.58-2.61, 1 Ir 2.82
2 Ir 0.0000 0.6603 0.6603  8 Ge 2.58-2.61, 1 Ir 2.82
3 Ir 0.3397 0.0000 0.3397  8 Ge 2.58-2.61, 1 Ir 2.82
4 Ir 0.3397 0.3397 0.0000  8 Ge 2.58-2.61, 1 Ir 2.82
5 Ir 0.6603 0.0000 0.6603  8 Ge 2.58-2.61, 1 Ir 2.82
6 Ir 0.6603 0.6603 0.0000  8 Ge 2.58-2.61, 1 Ir 2.82
7 Ge 0.0000 0.0000 0.3346  1 Ge 2.52, 3 Ir 2.58
8 Ge 0.3346 0.0000 0.0000  1 Ge 2.52, 3 Ir 2.58
9 Ge 0.7500 0.2500 0.5000  4 Ir 2.61
10 Ge 0.2500 0.5000 0.7500  4 Ir 2.61
11 Ge 0.0000 0.6654 0.0000  1 Ge 2.52, 3 Ir 2.58
12 Ge 0.6654 0.6654 0.6654  1 Ge 2.52, 3 Ir 2.58
13 Ge 0.0000 0.0000 0.6654  1 Ge 2.52, 3 Ir 2.58
14 Ge 0.5000 0.7500 0.2500  4 Ir 2.61
15 Ge 0.0000 0.3346 0.0000  1 Ge 2.52, 3 Ir 2.58
16 Ge 0.2500 0.7500 0.5000  4 Ir 2.61
17 Ge 0.3346 0.3346 0.3346  1 Ge 2.52, 3 Ir 2.58
18 Ge 0.7500 0.5000 0.2500  4 Ir 2.61
19 Ge 0.5000 0.2500 0.7500  4 Ir 2.61
20 Ge 0.6654 0.0000 0.0000  1 Ge 2.52, 3 Ir 2.58


No. 2
An optimized crystal structure of Ge5Ir4. Source: Materials Project, functional PBE.

Values from the calculation:
E_form: -0.35 eV per atom
Electronic total energy: -6.85 eV per atom
Maximum piezoelectric response: 3.56 C/m²
SG: P-4c2, No. 116

Unit cell a=5.6914 b=5.6914 c=18.5688 alpha=90.00 beta=90.00 gamma=90.00
With the nearest neighbours (Å) after each atom.
Fractional coordinates of all 36 atoms:
1 Ir 0.0000 0.0000 0.7500  6 Ge 2.48-2.60
2 Ir 0.0000 0.5000 0.8233  6 Ge 2.46-2.68
3 Ir 0.5000 0.0000 0.4444  6 Ge 2.42-2.60
4 Ir 0.5000 0.5000 0.6360  6 Ge 2.45-2.56
5 Ir 0.0000 0.5000 0.3233  6 Ge 2.46-2.68
6 Ir 0.0000 0.0000 0.2500  6 Ge 2.48-2.60
7 Ir 0.5000 0.5000 0.8640  6 Ge 2.45-2.56
8 Ir 0.5000 0.5000 0.3640  6 Ge 2.45-2.56
9 Ir 0.5000 0.0000 0.1767  6 Ge 2.46-2.68
10 Ir 0.0000 0.0000 0.5000  4 Ge 2.47
11 Ir 0.5000 0.0000 0.6767  6 Ge 2.46-2.68
12 Ir 0.0000 0.5000 0.0556  6 Ge 2.42-2.60
13 Ir 0.0000 0.5000 0.5556  6 Ge 2.42-2.60
14 Ir 0.5000 0.5000 0.1360  6 Ge 2.45-2.56
15 Ir 0.0000 0.0000 0.0000  4 Ge 2.47
16 Ir 0.5000 0.0000 0.9444  6 Ge 2.42-2.60
17 Ge 0.3427 0.8023 0.5551  5 Ir 2.45-2.68
18 Ge 0.3224 0.3224 0.2500  5 Ir 2.50-2.60
19 Ge 0.8549 0.2243 0.1446  4 Ir 2.42-2.56
20 Ge 0.6573 0.1977 0.5551  5 Ir 2.45-2.68
21 Ge 0.1977 0.6573 0.9449  5 Ir 2.45-2.68
22 Ge 0.7757 0.8549 0.8554  4 Ir 2.42-2.56
23 Ge 0.2243 0.1451 0.8554  4 Ir 2.42-2.56
24 Ge 0.7757 0.1451 0.3554  4 Ir 2.42-2.56
25 Ge 0.3224 0.6776 0.7500  5 Ir 2.50-2.60
26 Ge 0.1451 0.7757 0.1446  4 Ir 2.42-2.56
27 Ge 0.8023 0.6573 0.4449  5 Ir 2.45-2.68
28 Ge 0.2243 0.8549 0.3554  4 Ir 2.42-2.56
29 Ge 0.1451 0.2243 0.6446  4 Ir 2.42-2.56
30 Ge 0.6573 0.8023 0.0551  5 Ir 2.45-2.68
31 Ge 0.6776 0.3224 0.7500  5 Ir 2.50-2.60
32 Ge 0.8023 0.3427 0.9449  5 Ir 2.45-2.68
33 Ge 0.8549 0.7757 0.6446  4 Ir 2.42-2.56
34 Ge 0.6776 0.6776 0.2500  5 Ir 2.50-2.60
35 Ge 0.3427 0.1977 0.0551  5 Ir 2.45-2.68
36 Ge 0.1977 0.3427 0.4449  5 Ir 2.45-2.68